1.
This record from Materials Project describes an optimized crystal structure of HoCd6. The functional is PBE.

The energy relative to the elements is -1.142 eV/f.u. The calculation puts the total energy at -1.6088 eV per atom.

a = 13.6330 Å, b = 13.6330 Å, c = 13.6330 Å
α = 110.23°, β = 109.75°, γ = 108.44°
Fractional coordinates of all 84 atoms:
Ho (0.0052, 0.1982, 0.8069)
Ho (0.1989, 0.3104, 0.5093)
Ho (0.1989, 0.6896, 0.8885)
Ho (0.3079, 0.0097, 0.7018)
Ho (0.3079, 0.6061, 0.2982)
Ho (0.3913, 0.1982, 0.1931)
Ho (0.6087, 0.8018, 0.8069)
Ho (0.6921, 0.3939, 0.7018)
Ho (0.6921, 0.9903, 0.2982)
Ho (0.8011, 0.3104, 0.1115)
Ho (0.8011, 0.6896, 0.4907)
Ho (0.9948, 0.8018, 0.1931)
Cd (0.0000, 0.1897, 0.1897)
Cd (0.0000, 0.8103, 0.8103)
Cd (0.0373, 0.3598, 0.0815)
Cd (0.0373, 0.9558, 0.6774)
Cd (0.0413, 0.5838, 0.2234)
Cd (0.0413, 0.8179, 0.4575)
Cd (0.0900, 0.0900, 0.0000)
Cd (0.0948, 0.5000, 0.5948)
Cd (0.0958, 0.4419, 0.3460)
Cd (0.0958, 0.7498, 0.6540)
Cd (0.1553, 0.0957, 0.2510)
Cd (0.1553, 0.9043, 0.0595)
Cd (0.1749, 0.4093, 0.7656)
Cd (0.1771, 0.1789, 0.6788)
Cd (0.1771, 0.4982, 0.9982)
Cd (0.1813, 0.0409, 0.4595)
Cd (0.1813, 0.7218, 0.1404)
Cd (0.1904, 0.6904, 0.5000)
Cd (0.2429, 0.1487, 0.9058)
Cd (0.2429, 0.3370, 0.0942)
Cd (0.2513, 0.8460, 0.4053)
Cd (0.2784, 0.3598, 0.3226)
Cd (0.2784, 0.9558, 0.9185)
Cd (0.3123, 0.0000, 0.3123)
Cd (0.3562, 0.5907, 0.7656)
Cd (0.3605, 0.5838, 0.5425)
Cd (0.3605, 0.8179, 0.7766)
Cd (0.4049, 0.2593, 0.6642)
Cd (0.4049, 0.7407, 0.1456)
Cd (0.4151, 0.3246, 0.9095)
Cd (0.4151, 0.5056, 0.0905)
Cd (0.4186, 0.2782, 0.4595)
Cd (0.4186, 0.9591, 0.1404)
Cd (0.4406, 0.8460, 0.5947)
Cd (0.5000, 0.0955, 0.5955)
Cd (0.5001, 0.1789, 0.0018)
Cd (0.5001, 0.4982, 0.3212)
Cd (0.4999, 0.5018, 0.6788)
Cd (0.4999, 0.8211, 0.9982)
Cd (0.5000, 0.9045, 0.4045)
Cd (0.5594, 0.1540, 0.4053)
Cd (0.5814, 0.0409, 0.8596)
Cd (0.5814, 0.7218, 0.5405)
Cd (0.5849, 0.4944, 0.9095)
Cd (0.5849, 0.6754, 0.0905)
Cd (0.5951, 0.2593, 0.8544)
Cd (0.5951, 0.7407, 0.3358)
Cd (0.6395, 0.1821, 0.2234)
Cd (0.6395, 0.4162, 0.4575)
Cd (0.6438, 0.4093, 0.2344)
Cd (0.6877, 0.0000, 0.6877)
Cd (0.7216, 0.0442, 0.0815)
Cd (0.7216, 0.6402, 0.6774)
Cd (0.7487, 0.1540, 0.5947)
Cd (0.7571, 0.6630, 0.9058)
Cd (0.7571, 0.8513, 0.0942)
Cd (0.8096, 0.3096, 0.5000)
Cd (0.8187, 0.2782, 0.8596)
Cd (0.8187, 0.9591, 0.5405)
Cd (0.8229, 0.5018, 0.0018)
Cd (0.8229, 0.8211, 0.3212)
Cd (0.8251, 0.5907, 0.2344)
Cd (0.8447, 0.0957, 0.9405)
Cd (0.8447, 0.9043, 0.7490)
Cd (0.9042, 0.2502, 0.3460)
Cd (0.9042, 0.5581, 0.6540)
Cd (0.9052, 0.5000, 0.4052)
Cd (0.9100, 0.9100, 0.0000)
Cd (0.9587, 0.1821, 0.5425)
Cd (0.9587, 0.4162, 0.7766)
Cd (0.9627, 0.0442, 0.3226)
Cd (0.9627, 0.6402, 0.9185)

2.
This record from Materials Project describes an optimized crystal structure of Cu10Sb3. The functional is PBE.

The energy relative to the elements is 0.282 eV/f.u. The calculation puts the total energy at -4.0401 eV per atom.

a = 10.0765 Å, b = 10.0765 Å, c = 4.3022 Å
α = 90.00°, β = 90.00°, γ = 120.00°
Fractional coordinates of all 26 atoms:
Cu (0.0235, 0.4411, 0.2500)
Cu (0.0508, 0.8841, 0.7500)
Cu (0.1159, 0.1667, 0.7500)
Cu (0.1667, 0.0508, 0.2500)
Cu (0.2087, 0.5038, 0.7500)
Cu (0.2951, 0.7913, 0.7500)
Cu (0.3333, 0.6667, 0.2500)
Cu (0.4176, 0.9765, 0.2500)
Cu (0.4411, 0.4176, 0.7500)
Cu (0.4962, 0.7049, 0.7500)
Cu (0.5038, 0.2951, 0.2500)
Cu (0.5589, 0.5824, 0.2500)
Cu (0.5824, 0.0235, 0.7500)
Cu (0.6667, 0.3333, 0.7500)
Cu (0.7049, 0.2087, 0.2500)
Cu (0.7913, 0.4962, 0.2500)
Cu (0.8333, 0.9492, 0.7500)
Cu (0.8841, 0.8333, 0.2500)
Cu (0.9492, 0.1159, 0.2500)
Cu (0.9765, 0.5589, 0.7500)
Sb (0.1069, 0.7444, 0.2500)
Sb (0.2556, 0.3625, 0.2500)
Sb (0.3625, 0.1069, 0.7500)
Sb (0.6375, 0.8931, 0.2500)
Sb (0.7444, 0.6375, 0.7500)
Sb (0.8931, 0.2556, 0.7500)

3.
This record from Materials Project describes an optimized crystal structure of LiBi6B3O14. The functional is PBE.

The energy relative to the elements is -49.535 eV/f.u. The calculation puts the total energy at -6.4365 eV per atom.

a = 8.7415 Å, b = 16.1548 Å, c = 12.6523 Å
α = 90.00°, β = 132.44°, γ = 90.00°
Fractional coordinates of all 96 atoms:
Li (0.1169, 0.1085, 0.4385)
Li (0.1169, 0.3915, 0.9385)
Li (0.8831, 0.6085, 0.0615)
Li (0.8831, 0.8915, 0.5615)
Bi (0.0126, 0.6728, 0.5586)
Bi (0.0126, 0.8272, 0.0586)
Bi (0.1533, 0.6439, 0.9320)
Bi (0.1533, 0.8561, 0.4320)
Bi (0.2332, 0.5030, 0.4308)
Bi (0.2332, 0.9970, 0.9308)
Bi (0.3447, 0.0119, 0.2874)
Bi (0.3447, 0.4881, 0.7874)
Bi (0.4070, 0.6652, 0.3331)
Bi (0.4070, 0.8348, 0.8331)
Bi (0.4450, 0.1784, 0.8016)
Bi (0.4450, 0.3216, 0.3016)
Bi (0.5550, 0.6784, 0.6984)
Bi (0.5550, 0.8216, 0.1984)
Bi (0.5930, 0.1652, 0.1669)
Bi (0.5930, 0.3348, 0.6669)
Bi (0.6553, 0.5119, 0.2126)
Bi (0.6553, 0.9881, 0.7126)
Bi (0.7668, 0.0030, 0.0692)
Bi (0.7668, 0.4970, 0.5692)
Bi (0.8467, 0.1439, 0.5680)
Bi (0.8467, 0.3561, 0.0680)
Bi (0.9874, 0.1727, 0.9414)
Bi (0.9874, 0.3272, 0.4414)
B (0.0344, 0.1913, 0.2232)
B (0.0344, 0.3087, 0.7232)
B (0.2064, 0.0027, 0.6428)
B (0.2064, 0.4973, 0.1428)
B (0.4632, 0.1700, 0.5320)
B (0.4632, 0.3300, 0.0320)
B (0.5368, 0.6700, 0.9680)
B (0.5368, 0.8300, 0.4680)
B (0.7936, 0.5027, 0.8572)
B (0.7936, 0.9973, 0.3572)
B (0.9656, 0.6913, 0.2768)
B (0.9656, 0.8087, 0.7768)
O (0.0513, 0.7154, 0.2204)
O (0.0513, 0.7846, 0.7204)
O (0.0543, 0.1090, 0.2050)
O (0.0543, 0.3910, 0.7050)
O (0.0614, 0.5814, 0.7148)
O (0.0614, 0.9186, 0.2148)
O (0.0929, 0.2481, 0.6763)
O (0.0929, 0.2519, 0.1763)
O (0.1452, 0.0855, 0.6120)
O (0.1452, 0.4145, 0.1120)
O (0.1726, 0.5472, 0.2140)
O (0.1726, 0.9528, 0.7140)
O (0.2788, 0.7281, 0.1234)
O (0.2788, 0.7719, 0.6234)
O (0.2911, 0.5925, 0.6335)
O (0.2911, 0.9075, 0.1335)
O (0.3023, 0.0916, 0.1051)
O (0.3023, 0.4084, 0.6051)
O (0.3031, 0.5298, 0.0983)
O (0.3031, 0.9702, 0.5983)
O (0.3688, 0.2018, 0.5780)
O (0.3688, 0.2982, 0.0780)
O (0.4405, 0.7261, 0.9916)
O (0.4405, 0.7739, 0.4916)
O (0.4586, 0.0891, 0.9515)
O (0.4586, 0.4109, 0.4515)
O (0.4730, 0.0863, 0.5146)
O (0.4730, 0.4137, 0.0146)
O (0.5270, 0.5863, 0.9854)
O (0.5270, 0.9137, 0.4854)
O (0.5414, 0.5891, 0.5485)
O (0.5414, 0.9109, 0.0485)
O (0.5595, 0.2261, 0.5084)
O (0.5595, 0.2739, 0.0084)
O (0.6312, 0.7018, 0.9220)
O (0.6312, 0.7982, 0.4220)
O (0.6969, 0.0298, 0.4017)
O (0.6969, 0.4702, 0.9017)
O (0.6977, 0.5916, 0.3949)
O (0.6977, 0.9084, 0.8949)
O (0.7089, 0.0925, 0.8665)
O (0.7089, 0.4075, 0.3665)
O (0.7212, 0.2281, 0.3766)
O (0.7212, 0.2719, 0.8766)
O (0.8274, 0.0472, 0.2860)
O (0.8274, 0.4528, 0.7860)
O (0.8548, 0.5855, 0.8880)
O (0.8548, 0.9145, 0.3880)
O (0.9071, 0.7481, 0.8237)
O (0.9071, 0.7519, 0.3237)
O (0.9386, 0.0814, 0.7852)
O (0.9386, 0.4186, 0.2852)
O (0.9457, 0.6090, 0.2950)
O (0.9457, 0.8910, 0.7950)
O (0.9487, 0.2154, 0.2796)
O (0.9487, 0.2846, 0.7796)

4.
This record from Materials Project describes an optimized crystal structure of MgSi2. The functional is PBE.

The energy relative to the elements is 0.479 eV/f.u. The calculation puts the total energy at -4.0379 eV per atom. The offset from the most stable computed form is 82 meV per atom.

a = 6.6763 Å, b = 3.7439 Å, c = 9.7775 Å
α = 90.00°, β = 103.37°, γ = 90.00°
Fractional coordinates of all 12 atoms:
Mg (0.1145, 0.0000, 0.3798)
Mg (0.3402, 0.5000, 0.1750)
Mg (0.6598, 0.5000, 0.8250)
Mg (0.8855, 0.0000, 0.6202)
Si (0.1063, 0.5000, 0.8153)
Si (0.1620, 0.0000, 0.9652)
Si (0.2531, 0.5000, 0.6144)
Si (0.4759, 0.0000, 0.6176)
Si (0.5241, 0.0000, 0.3824)
Si (0.7469, 0.5000, 0.3856)
Si (0.8380, 0.0000, 0.0348)
Si (0.8937, 0.5000, 0.1847)

5.
This record from Materials Project describes an optimized crystal structure of TmSiIr. The functional is PBE.

The energy relative to the elements is -3.313 eV/f.u. The calculation puts the total energy at -7.3509 eV per atom.

a = 6.7448 Å, b = 4.1923 Å, c = 7.4493 Å
α = 90.00°, β = 90.00°, γ = 90.00°
Fractional coordinates of all 12 atoms:
Tm (0.0060, 0.2500, 0.1876)
Tm (0.4940, 0.7500, 0.6876)
Tm (0.5060, 0.2500, 0.3124)
Tm (0.9940, 0.7500, 0.8124)
Si (0.2044, 0.7500, 0.3866)
Si (0.2956, 0.2500, 0.8866)
Si (0.7044, 0.7500, 0.1134)
Si (0.7956, 0.2500, 0.6134)
Ir (0.1581, 0.2500, 0.5638)
Ir (0.3419, 0.7500, 0.0638)
Ir (0.6581, 0.2500, 0.9362)
Ir (0.8419, 0.7500, 0.4362)

6.
This record from Materials Project describes an optimized crystal structure of SmNiB4. The functional is PBE.

The energy relative to the elements is -3.341 eV/f.u. The calculation puts the total energy at -6.7596 eV per atom.

a = 6.8949 Å, b = 6.8949 Å, c = 6.8949 Å
α = 112.87°, β = 112.87°, γ = 102.87°
Fractional coordinates of all 24 atoms:
Sm (0.2044, 0.2044, 0.0000)
Sm (0.2500, 0.7500, 0.5000)
Sm (0.7500, 0.2500, 0.5000)
Sm (0.7956, 0.7956, 0.0000)
Ni (0.2719, 0.5000, 0.7719)
Ni (0.5000, 0.2719, 0.7719)
Ni (0.5000, 0.7281, 0.2281)
Ni (0.7281, 0.5000, 0.2281)
B (0.1120, 0.2758, 0.3879)
B (0.1120, 0.7242, 0.8362)
B (0.1134, 0.1134, 0.5311)
B (0.1134, 0.5823, 0.0000)
B (0.2758, 0.1120, 0.3879)
B (0.2758, 0.8880, 0.1638)
B (0.4177, 0.4177, 0.5311)
B (0.4177, 0.8866, 0.0000)
B (0.5823, 0.1134, 0.0000)
B (0.5823, 0.5823, 0.4689)
B (0.7242, 0.1120, 0.8362)
B (0.7242, 0.8880, 0.6121)
B (0.8866, 0.4177, 0.0000)
B (0.8866, 0.8866, 0.4689)
B (0.8880, 0.2758, 0.1638)
B (0.8880, 0.7242, 0.6121)

What is the energy relative to the elements in the fourth record? 0.479 eV/f.u.

Repeat the sixth record exactly.
This record from Materials Project describes an optimized crystal structure of SmNiB4. The functional is PBE.

The energy relative to the elements is -3.341 eV/f.u. The calculation puts the total energy at -6.7596 eV per atom.

a = 6.8949 Å, b = 6.8949 Å, c = 6.8949 Å
α = 112.87°, β = 112.87°, γ = 102.87°
Fractional coordinates of all 24 atoms:
Sm (0.2044, 0.2044, 0.0000)
Sm (0.2500, 0.7500, 0.5000)
Sm (0.7500, 0.2500, 0.5000)
Sm (0.7956, 0.7956, 0.0000)
Ni (0.2719, 0.5000, 0.7719)
Ni (0.5000, 0.2719, 0.7719)
Ni (0.5000, 0.7281, 0.2281)
Ni (0.7281, 0.5000, 0.2281)
B (0.1120, 0.2758, 0.3879)
B (0.1120, 0.7242, 0.8362)
B (0.1134, 0.1134, 0.5311)
B (0.1134, 0.5823, 0.0000)
B (0.2758, 0.1120, 0.3879)
B (0.2758, 0.8880, 0.1638)
B (0.4177, 0.4177, 0.5311)
B (0.4177, 0.8866, 0.0000)
B (0.5823, 0.1134, 0.0000)
B (0.5823, 0.5823, 0.4689)
B (0.7242, 0.1120, 0.8362)
B (0.7242, 0.8880, 0.6121)
B (0.8866, 0.4177, 0.0000)
B (0.8866, 0.8866, 0.4689)
B (0.8880, 0.2758, 0.1638)
B (0.8880, 0.7242, 0.6121)

Which value of energy relative to the elements does entry 4 give? 0.479 eV/f.u.